1.
VASP calculation (PBE+U) on a relaxed structure of RbNa3W2O17.

The calculation puts the total energy at -4.73 eV per atom. As for the formation energy: -60.4 kJ/mol of atoms. The space group is P6_3/m.

Unit cell a=8.780 b=8.780 c=10.921 alpha=90.00 beta=90.00 gamma=120.00
Sites, in units of the cell vectors:
O: 0.462 0.313 0.104
O: 0.149 0.462 0.604
O: 0.059 0.244 0.458
O: 0.653 0.957 0.250
O: 0.667 0.333 0.882
O: 0.667 0.333 0.618
O: 0.244 0.185 0.542
O: 0.957 0.303 0.750
O: 0.941 0.756 0.542
O: 0.687 0.149 0.396
O: 0.244 0.185 0.958
O: 0.333 0.667 0.118
O: 0.538 0.687 0.896
O: 0.687 0.149 0.104
O: 0.333 0.667 0.382
O: 0.851 0.538 0.104
O: 0.347 0.043 0.750
O: 0.941 0.756 0.958
O: 0.851 0.538 0.396
O: 0.043 0.697 0.250
O: 0.303 0.347 0.250
O: 0.313 0.851 0.604
O: 0.149 0.462 0.896
O: 0.815 0.059 0.542
O: 0.756 0.815 0.042
O: 0.538 0.687 0.604
O: 0.697 0.653 0.750
O: 0.756 0.815 0.458
O: 0.313 0.851 0.896
O: 0.185 0.941 0.042
O: 0.059 0.244 0.042
O: 0.185 0.941 0.458
O: 0.462 0.313 0.396
O: 0.815 0.059 0.958
Rb: 0.000 0.000 0.750
Rb: 0.000 0.000 0.250
Na: 0.463 0.370 0.750
Na: 0.907 0.537 0.750
Na: 0.630 0.093 0.750
Na: 0.370 0.907 0.250
Na: 0.537 0.630 0.250
Na: 0.093 0.463 0.250
W: 0.333 0.667 0.548
W: 0.667 0.333 0.452
W: 0.333 0.667 0.952
W: 0.667 0.333 0.048

2.
VASP calculation (PBE+U) on a relaxed structure of Rb3NaW2O8.

The calculation puts the total energy at -6.20 eV per atom. As for the formation energy: -216.0 kJ/mol of atoms. The space group is P-3m1.

Unit cell a=6.358 b=6.358 c=8.023 alpha=90.00 beta=90.00 gamma=120.00
Sites, in units of the cell vectors:
O: 0.179 0.822 0.195
O: 0.333 0.667 0.501
O: 0.821 0.178 0.805
O: 0.667 0.333 0.499
O: 0.821 0.643 0.805
O: 0.179 0.357 0.195
O: 0.357 0.178 0.805
O: 0.643 0.822 0.195
Na: 0.000 0.000 0.000
Rb: 0.000 0.000 0.500
Rb: 0.667 0.333 0.169
Rb: 0.333 0.667 0.831
W: 0.667 0.333 0.724
W: 0.333 0.667 0.276

3.
VASP calculation (PBE+U) on a relaxed structure of Na2VS2O9.

The calculation puts the total energy at -6.21 eV per atom. As for the formation energy: -208.6 kJ/mol of atoms. The space group is P2_12_12_1.

Unit cell a=6.399 b=6.916 c=16.902 alpha=90.00 beta=90.00 gamma=90.00
Sites, in units of the cell vectors:
O: 0.228 0.563 0.778
O: 0.018 0.144 0.186
O: 0.728 0.937 0.222
O: 0.149 0.689 0.604
O: 0.547 0.615 0.092
O: 0.275 0.769 0.233
O: 0.453 0.115 0.408
O: 0.047 0.885 0.908
O: 0.487 0.449 0.679
O: 0.518 0.356 0.814
O: 0.958 0.013 0.481
O: 0.978 0.598 0.479
O: 0.351 0.311 0.104
O: 0.478 0.902 0.521
O: 0.953 0.385 0.592
O: 0.781 0.701 0.595
O: 0.013 0.551 0.179
O: 0.987 0.051 0.321
O: 0.649 0.811 0.396
O: 0.851 0.189 0.896
O: 0.775 0.731 0.767
O: 0.022 0.098 0.021
O: 0.482 0.856 0.686
O: 0.513 0.949 0.821
O: 0.522 0.402 0.979
O: 0.458 0.487 0.519
O: 0.542 0.987 0.981
O: 0.281 0.799 0.405
O: 0.982 0.644 0.314
O: 0.725 0.269 0.267
O: 0.719 0.299 0.095
O: 0.225 0.231 0.733
O: 0.219 0.201 0.905
O: 0.772 0.063 0.722
O: 0.042 0.513 0.019
O: 0.272 0.437 0.278
S: 0.356 0.398 0.751
S: 0.964 0.587 0.568
S: 0.144 0.602 0.251
S: 0.644 0.898 0.749
S: 0.464 0.913 0.432
S: 0.036 0.087 0.932
S: 0.856 0.102 0.249
S: 0.536 0.413 0.068
Na: 0.871 0.393 0.762
Na: 0.687 0.150 0.585
Na: 0.813 0.850 0.085
Na: 0.129 0.893 0.738
Na: 0.187 0.350 0.415
Na: 0.371 0.107 0.238
Na: 0.313 0.650 0.915
Na: 0.629 0.607 0.262
V: 0.966 0.851 0.410
V: 0.466 0.649 0.590
V: 0.534 0.149 0.910
V: 0.034 0.351 0.090

4.
VASP calculation (PBE+U) on a relaxed structure of Na2VS2O12.

The calculation puts the total energy at -5.61 eV per atom. As for the formation energy: -147.6 kJ/mol of atoms. The space group is P2_1/c.

Unit cell a=5.552 b=8.079 c=11.225 alpha=90.00 beta=99.64 gamma=90.00
Sites, in units of the cell vectors:
O: 0.631 0.323 0.140
O: 0.884 0.193 0.929
O: 0.101 0.983 0.854
O: 0.116 0.693 0.571
O: 0.788 0.597 0.933
O: 0.315 0.258 0.259
O: 0.685 0.742 0.741
O: 0.685 0.758 0.241
O: 0.788 0.903 0.433
O: 0.672 0.890 0.927
O: 0.672 0.610 0.427
O: 0.212 0.403 0.067
O: 0.899 0.483 0.646
O: 0.328 0.110 0.073
O: 0.315 0.242 0.759
O: 0.116 0.807 0.071
O: 0.369 0.823 0.360
O: 0.884 0.307 0.429
O: 0.631 0.177 0.640
O: 0.328 0.390 0.573
O: 0.212 0.097 0.567
O: 0.899 0.017 0.146
O: 0.101 0.517 0.354
O: 0.369 0.677 0.860
S: 0.626 0.778 0.365
S: 0.374 0.278 0.135
S: 0.374 0.222 0.635
S: 0.626 0.722 0.865
Na: 0.086 0.061 0.352
Na: 0.086 0.439 0.852
Na: 0.914 0.939 0.648
Na: 0.914 0.561 0.148
V: 0.000 0.000 0.000
V: 0.000 0.500 0.500

5.
VASP calculation (PBE+U) on a relaxed structure of NaV2S4O4.

The calculation puts the total energy at -4.87 eV per atom. As for the formation energy: -33.7 kJ/mol of atoms. The space group is P2/m.

Unit cell a=3.786 b=5.826 c=10.465 alpha=74.16 beta=90.00 gamma=90.00
Sites, in units of the cell vectors:
S: 0.000 0.271 0.131
S: 0.500 0.209 0.875
S: 0.000 0.729 0.869
S: 0.500 0.791 0.125
O: 0.500 0.710 0.282
O: 0.000 0.260 0.700
O: 0.500 0.290 0.718
O: 0.000 0.740 0.300
V: 0.000 0.000 0.000
V: 0.500 0.500 0.000
Na: 0.000 0.500 0.500

6.
VASP calculation (PBE+U) on a relaxed structure of Na3VS3O.

The calculation puts the total energy at -4.75 eV per atom. As for the formation energy: -138.2 kJ/mol of atoms. The space group is Pnma.

Unit cell a=5.986 b=9.749 c=12.012 alpha=90.00 beta=90.00 gamma=90.00
Sites, in units of the cell vectors:
Na: 0.250 0.455 0.130
Na: 0.750 0.545 0.870
Na: 0.761 0.250 0.632
Na: 0.750 0.455 0.370
Na: 0.239 0.750 0.368
Na: 0.750 0.955 0.870
Na: 0.250 0.955 0.630
Na: 0.250 0.045 0.130
Na: 0.250 0.545 0.630
Na: 0.261 0.250 0.868
Na: 0.750 0.045 0.370
Na: 0.739 0.750 0.132
O: 0.373 0.750 0.551
O: 0.627 0.250 0.449
O: 0.127 0.250 0.051
O: 0.873 0.750 0.949
S: 0.754 0.750 0.369
S: 0.772 0.939 0.626
S: 0.254 0.750 0.131
S: 0.272 0.939 0.874
S: 0.728 0.439 0.126
S: 0.772 0.561 0.626
S: 0.246 0.250 0.631
S: 0.728 0.061 0.126
S: 0.746 0.250 0.869
S: 0.272 0.561 0.874
S: 0.228 0.439 0.374
S: 0.228 0.061 0.374
V: 0.657 0.750 0.547
V: 0.343 0.250 0.453
V: 0.157 0.750 0.953
V: 0.843 0.250 0.047

7.
VASP calculation (PBE+U) on a relaxed structure of Na3VSO3.

The calculation puts the total energy at -5.48 eV per atom. As for the formation energy: -193.7 kJ/mol of atoms. The space group is R3c. For the maximum piezoelectric response, the calculation gives 0.27 C/m².

Unit cell a=6.484 b=6.484 c=6.484 alpha=83.85 beta=83.85 gamma=83.85
Sites, in units of the cell vectors:
O: 0.537 0.722 0.916
O: 0.222 0.037 0.416
O: 0.722 0.916 0.537
O: 0.037 0.416 0.222
O: 0.916 0.537 0.722
O: 0.416 0.222 0.037
Na: 0.094 0.707 0.397
Na: 0.594 0.897 0.207
Na: 0.897 0.207 0.594
Na: 0.707 0.397 0.094
Na: 0.207 0.594 0.897
Na: 0.397 0.094 0.707
S: 0.500 0.500 0.500
S: 0.000 0.000 0.000
V: 0.682 0.682 0.682
V: 0.182 0.182 0.182

8.
VASP calculation (PBE+U) on a relaxed structure of Na3VS3O.

The calculation puts the total energy at -4.75 eV per atom. As for the formation energy: -138.2 kJ/mol of atoms. The space group is Cmc2_1. For the maximum piezoelectric response, the calculation gives 0.45 C/m².

Unit cell a=7.746 b=7.746 c=5.973 alpha=90.00 beta=90.00 gamma=101.87
Sites, in units of the cell vectors:
S: 0.187 0.435 0.500
S: 0.565 0.813 0.500
S: 0.119 0.881 0.483
S: 0.881 0.119 0.983
S: 0.813 0.565 0.000
S: 0.435 0.187 0.000
O: 0.301 0.699 0.101
O: 0.699 0.301 0.601
Na: 0.881 0.119 0.463
Na: 0.119 0.881 0.963
Na: 0.586 0.826 0.983
Na: 0.174 0.414 0.983
Na: 0.414 0.174 0.483
Na: 0.826 0.586 0.483
V: 0.704 0.296 0.885
V: 0.296 0.704 0.385

9.
VASP calculation (PBE+U) on a relaxed structure of Na3VS2O2.

The calculation puts the total energy at -5.12 eV per atom. As for the formation energy: -166.9 kJ/mol of atoms. The space group is Pbca.

Unit cell a=5.998 b=11.746 c=17.898 alpha=90.00 beta=90.00 gamma=90.00
Sites, in units of the cell vectors:
Na: 0.211 0.378 0.238
Na: 0.856 0.170 0.047
Na: 0.739 0.372 0.400
Na: 0.356 0.330 0.047
Na: 0.211 0.878 0.262
Na: 0.761 0.872 0.600
Na: 0.289 0.878 0.762
Na: 0.789 0.122 0.738
Na: 0.711 0.622 0.262
Na: 0.856 0.670 0.453
Na: 0.144 0.830 0.953
Na: 0.789 0.622 0.762
Na: 0.239 0.628 0.100
Na: 0.739 0.872 0.100
Na: 0.356 0.830 0.453
Na: 0.289 0.378 0.738
Na: 0.644 0.670 0.953
Na: 0.239 0.128 0.400
Na: 0.644 0.170 0.547
Na: 0.261 0.628 0.600
Na: 0.711 0.122 0.238
Na: 0.261 0.128 0.900
Na: 0.761 0.372 0.900
Na: 0.144 0.330 0.547
S: 0.228 0.876 0.103
S: 0.728 0.624 0.103
S: 0.797 0.871 0.782
S: 0.272 0.376 0.897
S: 0.703 0.871 0.282
S: 0.272 0.876 0.603
S: 0.728 0.124 0.397
S: 0.703 0.371 0.218
S: 0.203 0.629 0.282
S: 0.772 0.124 0.897
S: 0.797 0.371 0.718
S: 0.297 0.629 0.782
S: 0.228 0.376 0.397
S: 0.772 0.624 0.603
S: 0.203 0.129 0.218
S: 0.297 0.129 0.718
O: 0.383 0.438 0.616
O: 0.617 0.062 0.116
O: 0.117 0.438 0.116
O: 0.262 0.138 0.539
O: 0.738 0.362 0.039
O: 0.883 0.062 0.616
O: 0.117 0.938 0.384
O: 0.238 0.138 0.039
O: 0.262 0.638 0.961
O: 0.383 0.938 0.884
O: 0.883 0.562 0.884
O: 0.762 0.862 0.961
O: 0.738 0.862 0.461
O: 0.762 0.362 0.539
O: 0.617 0.562 0.384
O: 0.238 0.638 0.461
V: 0.832 0.442 0.112
V: 0.168 0.558 0.888
V: 0.332 0.058 0.112
V: 0.332 0.558 0.388
V: 0.168 0.058 0.612
V: 0.668 0.942 0.888
V: 0.832 0.942 0.388
V: 0.668 0.442 0.612

10.
VASP calculation (PBE+U) on a relaxed structure of NaV3S2O14.

The calculation puts the total energy at -6.65 eV per atom. As for the formation energy: -200.4 kJ/mol of atoms. The space group is R32.

Unit cell a=7.170 b=7.170 c=7.170 alpha=58.98 beta=58.98 gamma=58.98
Sites, in units of the cell vectors:
O: 0.845 0.495 0.840
O: 0.733 0.731 0.105
O: 0.155 0.160 0.505
O: 0.615 0.615 0.615
O: 0.160 0.505 0.155
O: 0.105 0.733 0.731
O: 0.731 0.105 0.733
O: 0.385 0.385 0.385
O: 0.269 0.267 0.895
O: 0.895 0.269 0.267
O: 0.495 0.840 0.845
O: 0.505 0.155 0.160
O: 0.840 0.845 0.495
O: 0.267 0.895 0.269
Na: 0.000 0.000 0.000
V: 0.042 0.500 0.958
V: 0.958 0.042 0.500
V: 0.500 0.958 0.042
S: 0.696 0.696 0.696
S: 0.304 0.304 0.304

11.
VASP calculation (PBE+U) on a relaxed structure of NaSrSbWO6.

The calculation puts the total energy at -6.35 eV per atom. As for the formation energy: -214.8 kJ/mol of atoms. The space group is F-43m.

Unit cell a=5.932 b=5.932 c=5.932 alpha=60.00 beta=60.00 gamma=60.00
Sites, in units of the cell vectors:
O: 0.732 0.732 0.268
O: 0.732 0.268 0.268
O: 0.268 0.732 0.268
O: 0.268 0.268 0.732
O: 0.268 0.732 0.732
O: 0.732 0.268 0.732
W: 0.500 0.500 0.500
Sb: 0.000 0.000 0.000
Sr: 0.250 0.250 0.250
Na: 0.750 0.750 0.750

12.
VASP calculation (PBE+U) on a relaxed structure of NaSbWO7.

The calculation puts the total energy at -6.06 eV per atom. As for the formation energy: -162.2 kJ/mol of atoms. The space group is Imma.

Unit cell a=7.382 b=7.382 c=7.382 alpha=120.52 beta=118.91 gamma=90.50
Sites, in units of the cell vectors:
O: 0.062 0.932 0.750
O: 0.682 0.311 0.750
O: 0.062 0.311 0.129
O: 0.938 0.068 0.250
O: 0.318 0.689 0.250
O: 0.921 0.671 0.250
O: 0.307 0.057 0.250
O: 0.693 0.943 0.750
O: 0.384 0.634 0.750
O: 0.318 0.068 0.629
O: 0.079 0.329 0.750
O: 0.938 0.689 0.871
O: 0.616 0.366 0.250
O: 0.682 0.932 0.371
W: 0.500 0.000 0.500
W: 0.000 0.000 0.000
Na: 0.000 0.500 0.500
Na: 0.500 0.500 0.000
Sb: 0.000 0.500 0.000
Sb: 0.000 0.000 0.500

> What is the formula in the third record?

Na2VS2O9